[1]
Density functional theory data (PBE) for a relaxed RbH3Se2O6 crystal.

Density = 2.8 g/cm³
Energy relative to the elements = -1.36 eV/atom
V = 16.848 Å³/atom
E (MP2020) = -5.343 eV/atom
Energy above the most stable polymorph in this dataset = 50 meV/atom

abc: 6.2147 20.8613 6.2377
angles: 90.00 90.00 90.00
Closest atoms and distances in Å follow each position.
Space group P2_12_12 (No. 18)
Unique sites:
Rb1 0.0297 0.1140 0.2573 x4  4 O 2.83-3.08, 1 H 3.13
H1 0.0611 0.4538 0.0193 x4  1 O 0.98
H2 0.1517 0.8756 0.7250 x4  1 O 1.03
H3 0.2170 0.2634 0.5231 x4  1 O 1.04
Se1 0.0134 0.7472 0.8316 x4  3 O 1.70-1.81
Se2 0.0277 0.6148 0.2946 x4  2 O 1.64-1.80
O1 0.0286 0.1722 0.8032 x4  1 H 1.58, 1 Se 1.71
O2 0.0592 0.5765 0.0250 x4  1 H 0.98
O3 0.1564 0.5662 0.4557 x4  1 Se 1.64
O4 0.1944 0.2881 0.6669 x4  1 H 1.04
O5 0.2429 0.7318 0.6919 x4  1 H 1.51
O6 0.2468 0.4117 0.3252 x4  1 H 1.03

***

[2]
Density functional theory data (PBE) for a relaxed RbH3Se2O6 crystal.

Density = 3.2 g/cm³
Energy relative to the elements = -1.41 eV/atom
V = 14.976 Å³/atom
E (MP2020) = -5.392 eV/atom
Energy above the most stable polymorph in this dataset = 0 meV/atom

abc: 6.0617 6.4881 18.2776
angles: 90.00 90.00 90.00
Closest atoms and distances in Å follow each position.
Space group P2_12_12_1 (No. 19)
Unique sites:
Rb1 0.0178 0.0174 0.3369 x4  7 O 2.96-3.27
H1 0.0258 0.2499 0.7194 x4  1 O 1.03
H2 0.1509 0.0322 0.1345 x4  1 O 1.06
H3 0.2295 0.7095 0.5135 x4  1 O 1.04
Se1 0.0194 0.9245 0.9940 x4  3 O 1.70-1.80
Se2 0.0371 0.4528 0.8536 x4  3 O 1.68-1.79
O1 0.0199 0.4400 0.4132 x4  1 H 1.48
O2 0.0584 0.7188 0.8283 x4  1 H 1.03
O3 0.1667 0.3236 0.7865 x4  1 H 1.57, 1 Se 1.68
O4 0.2104 0.5710 0.5410 x4  1 H 1.04
O5 0.2404 0.0770 0.9762 x4  1 H 1.55, 1 Se 1.70
O6 0.2417 0.9089 0.6750 x4  1 H 1.06

***

[3]
Density functional theory data (PBE) for a relaxed RbH3Se2O6 crystal.

Density = 3.0 g/cm³
Energy relative to the elements = -1.35 eV/atom
V = 15.998 Å³/atom
E (MP2020) = -5.338 eV/atom
Energy above the most stable polymorph in this dataset = 54 meV/atom

abc: 6.1605 12.3927 20.1164
angles: 90.00 90.00 90.00
Closest atoms and distances in Å follow each position.
Space group P2_12_12_1 (No. 19)
Unique sites:
Rb1 0.0227 0.1260 0.3584 x4  5 O 2.82-3.15, 1 H 3.15
Rb2 0.0239 0.6249 0.3586 x4  5 O 2.81-3.10, 1 H 3.13
H1 0.0634 0.2420 0.7063 x4  1 O 0.99
H2 0.0645 0.7465 0.7011 x4  1 O 0.99
H3 0.1455 0.8878 0.1274 x4  1 O 1.03
H4 0.1479 0.3871 0.1274 x4  1 O 1.03
H5 0.2184 0.4906 0.5142 x4  1 O 1.05
H6 0.2182 0.9903 0.5142 x4  1 O 1.05
Se1 0.0111 0.8334 0.9940 x4  3 O 1.71-1.80
Se2 0.0122 0.3334 0.9943 x4  3 O 1.70-1.80
Se3 0.0243 0.6025 0.8651 x4  2 O 1.64-1.81
Se4 0.0274 0.1014 0.8655 x4  2 O 1.63-1.81
O1 0.0345 0.8465 0.4223 x4  1 H 1.59, 1 Se 1.71
O2 0.0358 0.3457 0.4225 x4  1 H 1.59, 1 Se 1.71
O3 0.0553 0.7404 0.8265 x4  1 H 0.99
O4 0.0643 0.2401 0.8278 x4  1 H 0.99
O5 0.1579 0.5220 0.8152 x4  1 Se 1.64
O6 0.1599 0.0217 0.8150 x4  1 Se 1.63
O7 0.1936 0.9190 0.5414 x4  1 H 1.05
O8 0.1946 0.4193 0.5414 x4  1 H 1.05
O9 0.2453 0.9035 0.9806 x4  1 H 1.50
O10 0.2465 0.4032 0.9807 x4  1 H 1.49
O11 0.2477 0.5895 0.6648 x4  1 H 1.03
O12 0.2491 0.9130 0.1645 x4  1 H 1.03

***

[4]
Density functional theory data (PBE) for a relaxed Rb2UH2Se2O10 crystal.

Density = 3.7 g/cm³
Energy relative to the elements = -1.60 eV/atom
V = 19.049 Å³/atom
E (MP2020) = -6.097 eV/atom

abc: 13.9138 11.7381 7.9312
angles: 90.00 90.00 90.00
Closest atoms and distances in Å follow each position.
Space group Pna2_1 (No. 33)
Unique sites:
Rb1 0.0293 0.1164 0.0000 x4  6 O 2.99-3.28
Rb2 0.0580 0.6558 0.9778 x4  6 O 2.94-3.15, 1 H 3.15
U1 0.2454 0.4035 0.6825 x4  2 O 1.82-1.83
H1 0.0646 0.4056 0.1212 x4  2 Rb 3.15-3.38, 7 O 3.24-3.52, 1 H 3.30
H2 0.2343 0.9032 0.8427 x4  4 O 2.55-2.76, 1 U 2.71
Se1 0.1658 0.1186 0.4972 x4  4 O 1.65-1.71
Se2 0.1851 0.6845 0.4888 x4  4 O 1.65-1.72
O1 0.0803 0.1552 0.3629 x4  1 Se 1.65
O2 0.1044 0.6442 0.3493 x4  1 Se 1.65
O3 0.1150 0.4170 0.6749 x4  1 U 1.82
O4 0.1241 0.0612 0.6718 x4  1 Se 1.65
O5 0.1236 0.8931 0.1739 x4  1 U 1.83
O6 0.1377 0.7423 0.6592 x4  1 Se 1.65
O7 0.2333 0.2777 0.9038 x4  1 Se 1.71
O8 0.2385 0.2330 0.5373 x4  1 Se 1.71
O9 0.2399 0.0738 0.0413 x4  1 Se 1.72
O10 0.2471 0.0275 0.4080 x4  1 Se 1.71